Here is a relaxed CuBiO2 crystal from Materials Project. Energies are from PBE-GGA.

**Energy relative to the elements**: -1.23 eV per atom
**Total magnetic moment**: 0.000 μB/cell
**Volume**: 17.05 A^3/atom

a b c (Å): 3.9682 6.0371 11.3894
angles (deg): 90.00 90.00 90.00
With the nearest neighbours (Å) after each atom.
Space group Immm (No. 71)
Inequivalent atoms, fractional coordinates:
Cu  0.0000  0.2237  0.0000 (multiplicity 4)  2 O 1.83
Bi  0.0000  0.0000  0.3037 (multiplicity 4)  2 O 2.24
O  0.0000  0.2540  0.1601 (multiplicity 8)  1 Cu 1.83